# 1
Computed, not measured: a relaxed structure of Hf5Re24 at the PBE-GGA level of DFT.

Results
space-group type	No. 217

POSCAR file:
```
Hf5Re24
1.0
-4.8924 4.8924 4.8924
4.8924 -4.8924 4.8924
4.8924 4.8924 -4.8924
Hf Re
5 24
Direct
0.0000 0.0000 0.0000
0.0000 0.0000 0.6295
0.0000 0.6295 0.0000
0.3705 0.3705 0.3705
0.6295 0.0000 0.0000
0.0000 0.1940 0.3759
0.0000 0.3759 0.1940
0.0000 0.3955 0.6773
0.0000 0.6773 0.3955
0.1819 0.8060 0.8060
0.1940 0.0000 0.3759
0.1940 0.3759 0.0000
0.2818 0.6045 0.6045
0.3227 0.3227 0.7182
0.3227 0.7182 0.3227
0.3759 0.0000 0.1940
0.3759 0.1940 0.0000
0.3955 0.0000 0.6773
0.3955 0.6773 0.0000
0.6045 0.2818 0.6045
0.6045 0.6045 0.2818
0.6241 0.6241 0.8181
0.6241 0.8181 0.6241
0.6773 0.0000 0.3955
0.6773 0.3955 0.0000
0.7182 0.3227 0.3227
0.8060 0.1819 0.8060
0.8060 0.8060 0.1819
0.8181 0.6241 0.6241
```

***

# 2
Computed, not measured: a relaxed structure of Hf2ReRh at the PBE-GGA level of DFT.

Results
space-group type	No. 225

POSCAR file:
```
Hf2ReRh
1.0
0.0000 3.2724 3.2724
3.2724 0.0000 3.2724
3.2724 3.2724 0.0000
Hf Re Rh
2 1 1
Direct
0.2500 0.2500 0.2500
0.7500 0.7500 0.7500
0.0000 0.0000 0.0000
0.5000 0.5000 0.5000
```

***

# 3
Computed, not measured: a relaxed structure of Hf9Re4Se at the PBE-GGA level of DFT.

Results
space-group type	No. 194
magnetization	0.011	μB/atom

POSCAR file:
```
Hf9Re4Se
1.0
8.6593 0.0000 0.0000
-4.3296 7.4991 0.0000
0.0000 0.0000 8.6160
Hf Re Se
18 8 2
Direct
0.0878 0.5439 0.2500
0.1915 0.3829 0.5485
0.1915 0.3829 0.9515
0.1915 0.8085 0.5485
0.1915 0.8085 0.9515
0.3829 0.1915 0.0485
0.3829 0.1915 0.4515
0.4561 0.5439 0.2500
0.4561 0.9122 0.2500
0.5439 0.0878 0.7500
0.5439 0.4561 0.7500
0.6171 0.8085 0.5485
0.6171 0.8085 0.9515
0.8085 0.1915 0.0485
0.8085 0.1915 0.4515
0.8085 0.6171 0.0485
0.8085 0.6171 0.4515
0.9122 0.4561 0.7500
0.0000 0.0000 0.0000
0.0000 0.0000 0.5000
0.1105 0.2210 0.2500
0.1105 0.8895 0.2500
0.2210 0.1105 0.7500
0.7790 0.8895 0.2500
0.8895 0.1105 0.7500
0.8895 0.7790 0.7500
0.3333 0.6667 0.7500
0.6667 0.3333 0.2500
```

***

# 4
Computed, not measured: a relaxed structure of HfReSi at the PBE-GGA level of DFT.

Results
space-group type	No. 189
magnetization	0.001	μB/atom

POSCAR file:
```
HfReSi
1.0
6.9668 0.0000 0.0000
-3.4834 6.0334 0.0000
0.0000 0.0000 3.4051
Hf Re Si
3 3 3
Direct
0.0000 0.5954 0.0000
0.4046 0.4046 0.0000
0.5954 0.0000 0.0000
0.0000 0.2560 0.5000
0.2560 0.0000 0.5000
0.7440 0.7440 0.5000
0.0000 0.0000 0.0000
0.3333 0.6667 0.5000
0.6667 0.3333 0.5000
```

***

# 5
Computed, not measured: a relaxed structure of HfReSi2 at the PBE-GGA level of DFT.

Results
space-group type	No. 55
magnetization	0.000	μB/atom

POSCAR file:
```
HfReSi2
1.0
9.1864 0.0000 0.0000
0.0000 10.0830 0.0000
0.0000 0.0000 8.0921
Hf Re Si
12 12 24
Direct
0.1698 0.1788 0.0000
0.1749 0.4509 0.2478
0.1749 0.4509 0.7522
0.3251 0.9509 0.2478
0.3251 0.9509 0.7522
0.3302 0.6788 0.0000
0.6698 0.3212 0.0000
0.6749 0.0491 0.2478
0.6749 0.0491 0.7522
0.8251 0.5491 0.2478
0.8251 0.5491 0.7522
0.8302 0.8212 0.0000
0.0000 0.0000 0.2444
0.0000 0.0000 0.7556
0.0852 0.7379 0.2492
0.0852 0.7379 0.7508
0.4148 0.2379 0.2492
0.4148 0.2379 0.7508
0.5000 0.5000 0.2444
0.5000 0.5000 0.7556
0.5852 0.7621 0.2492
0.5852 0.7621 0.7508
0.9148 0.2621 0.2492
0.9148 0.2621 0.7508
0.0344 0.6136 0.0000
0.0380 0.6137 0.5000
0.1245 0.9039 0.5000
0.1318 0.8984 0.0000
0.1661 0.1808 0.3540
0.1661 0.1808 0.6460
0.3339 0.6808 0.3540
0.3339 0.6808 0.6460
0.3682 0.3984 0.0000
0.3755 0.4039 0.5000
0.4620 0.1137 0.5000
0.4656 0.1136 0.0000
0.5344 0.8864 0.0000
0.5380 0.8863 0.5000
0.6245 0.5961 0.5000
0.6318 0.6016 0.0000
0.6661 0.3192 0.3540
0.6661 0.3192 0.6460
0.8339 0.8192 0.3540
0.8339 0.8192 0.6460
0.8682 0.1016 0.0000
0.8755 0.0961 0.5000
0.9620 0.3863 0.5000
0.9656 0.3864 0.0000
```

***

# 6
Computed, not measured: a relaxed structure of Hf9Re4Si at the PBE-GGA level of DFT.

Results
space-group type	No. 194

POSCAR file:
```
Hf9Re4Si
1.0
8.5604 0.0000 0.0000
-4.2802 7.4135 0.0000
0.0000 0.0000 8.6994
Hf Re Si
18 8 2
Direct
0.0789 0.5394 0.2500
0.1955 0.3910 0.5470
0.1955 0.3910 0.9530
0.1955 0.8045 0.5470
0.1955 0.8045 0.9530
0.3910 0.1955 0.0470
0.3910 0.1955 0.4530
0.4606 0.5394 0.2500
0.4606 0.9211 0.2500
0.5394 0.0789 0.7500
0.5394 0.4606 0.7500
0.6090 0.8045 0.5470
0.6090 0.8045 0.9530
0.8045 0.1955 0.0470
0.8045 0.1955 0.4530
0.8045 0.6090 0.0470
0.8045 0.6090 0.4530
0.9211 0.4606 0.7500
0.0000 0.0000 0.0000
0.0000 0.0000 0.5000
0.1091 0.2182 0.2500
0.1091 0.8909 0.2500
0.2182 0.1091 0.7500
0.7818 0.8909 0.2500
0.8909 0.1091 0.7500
0.8909 0.7818 0.7500
0.3333 0.6667 0.7500
0.6667 0.3333 0.2500
```

***

no.,ρ (g/cm3),uncorrected energy (eV/atom)
1,19.007,-12.28
2,15.308,-10.62
3,14.425,-10.60
4,13.671,-10.07
5,11.189,-8.93
6,14.313,-10.73